First-principles (GGA+U) data for Sr2Ca6Mn8O21 after structural relaxation, as listed in Materials Project.

- Total magnetic moment: 0.81 μB/atom
- Total DFT energy (no corrections): -6.960 eV per atom
- Energy of formation: -2505 meV/atom

a b c (Å): 7.684 7.710 7.890
angles (deg): 90.18 92.23 90.08
Positions (direct):
Sr 0.000 0.000 0.000
Sr 0.029 0.014 0.477
Ca 0.023 0.493 0.486
Ca 0.452 0.511 0.977
Ca 0.490 0.039 0.978
Ca 0.513 0.017 0.491
Ca 0.532 0.489 0.497
Ca 0.998 0.488 0.999
Mn 0.250 0.758 0.731
Mn 0.261 0.265 0.236
Mn 0.266 0.264 0.735
Mn 0.285 0.759 0.247
Mn 0.727 0.747 0.222
Mn 0.746 0.259 0.741
Mn 0.755 0.750 0.754
Mn 0.762 0.261 0.240
O 0.000 0.815 0.729
O 0.012 0.247 0.247
O 0.191 0.734 0.466
O 0.195 0.502 0.770
O 0.236 0.515 0.194
O 0.239 0.230 0.977
O 0.264 0.299 0.492
O 0.281 0.014 0.271
O 0.291 0.016 0.702
O 0.307 0.792 0.003
O 0.503 0.697 0.728
O 0.506 0.308 0.761
O 0.513 0.292 0.215
O 0.532 0.748 0.357
O 0.706 0.002 0.757
O 0.757 0.227 0.499
O 0.757 0.994 0.231
O 0.793 0.268 0.979
O 0.794 0.519 0.286
O 0.806 0.503 0.699
O 0.815 0.723 0.007

First-principles (GGA+U) data for SrCaMnO4 after structural relaxation, as listed in Materials Project.

- Total magnetic moment: 0.00 μB/atom
- Total DFT energy (no corrections): -6.743 eV per atom
- Energy of formation: -2709 meV/atom

a b c (Å): 5.376 6.705 5.376
angles (deg): 66.36 90.00 90.00
Positions (direct):
Mn 0.000 0.002 0.999
Mn 0.500 0.002 0.499
O 0.500 0.315 0.342
O 0.000 0.675 0.162
O 0.750 0.009 0.246
O 0.750 0.009 0.746
O 0.500 0.675 0.662
O 0.000 0.315 0.842
O 0.250 0.009 0.246
O 0.250 0.009 0.746
Sr 0.500 0.706 0.147
Sr 0.000 0.706 0.647
Ca 0.000 0.284 0.358
Ca 0.500 0.284 0.858

Which of these has the highest energy of formation? Sr2Ca6Mn8O21

Which of these has the lowest energy of formation? SrCaMnO4

Which of these has the highest total magnetic moment? Sr2Ca6Mn8O21